A relaxed Li4Ti3Co6O18 crystal, computed with PBE+U.

- Uncorrected energy: -407.9 eV per cell
- Formation energy: -2.04 eV per atom

Geometry as POSCAR:
```
Li4Ti3Co6O18
1.0
8.821 0.000 0.000
0.000 2.877 0.000
-0.018 0.000 24.643
Li Ti Co O
8 6 12 36
Cartesian
0.000 0.000 0.000
0.030 0.000 5.313
1.062 0.000 17.622
1.129 0.000 12.326
4.324 0.000 12.563
4.423 0.000 7.460
5.497 0.000 19.776
5.572 0.000 0.224
2.601 0.000 15.031
2.850 0.000 9.897
4.078 1.438 17.293
5.839 1.438 4.985
7.139 0.000 22.172
7.295 0.000 2.721
1.450 1.438 7.685
1.610 1.438 2.289
2.474 0.000 20.173
2.786 0.000 0.186
2.856 0.000 4.863
3.920 1.438 22.698
6.004 1.438 10.382
7.074 0.000 17.204
7.132 0.000 12.509
7.436 0.000 7.865
8.305 1.438 14.605
8.453 1.438 20.006
-0.008 0.000 21.230
0.352 0.000 2.301
0.765 0.000 14.610
1.095 0.000 8.879
1.435 1.438 19.435
1.512 1.438 0.391
1.765 0.000 6.523
1.838 1.438 4.126
2.246 1.438 16.469
2.332 1.438 11.043
2.723 0.000 22.949
2.809 0.000 2.081
3.096 1.438 13.865
3.206 1.438 8.451
3.500 1.438 20.901
3.718 0.000 18.554
3.972 1.438 5.501
4.052 1.438 24.591
4.372 0.000 16.011
4.693 0.000 10.294
5.176 0.000 22.621
5.551 0.000 3.678
5.859 1.438 12.309
5.951 1.438 17.825
6.200 0.000 6.217
6.402 1.438 8.557
6.670 1.438 20.789
6.836 1.438 1.554
7.099 0.000 14.354
7.198 0.000 10.663
7.553 1.438 23.370
7.677 1.438 4.147
8.070 1.438 16.475
8.155 0.000 18.845
8.399 1.438 12.675
8.489 1.438 7.110
```